[1]
# Sr4MgCr2S2O6

An optimized crystal structure of Sr4MgCr2S2O6 (GGA+U, the Materials Project).

Results
largest piezoelectric modulus: 0.169 C/m2
magnetization: 6.00 μB/f.u.

Unit cell a=3.9469 b=3.9469 c=15.9183 alpha=90.00 beta=90.00 gamma=90.00
Space group P-4m2 (No. 115)
Unique sites:
Sr 0.0000 0.5000 0.0856 (multiplicity 2)
Sr 0.0000 0.5000 0.3087 (multiplicity 2)
Mg 0.0000 0.0000 0.5000 (multiplicity 1)
Cr 0.0000 0.5000 0.8105 (multiplicity 2)
S 0.0000 0.5000 0.5967 (multiplicity 2)
O 0.0000 0.0000 0.2083 (multiplicity 2)
O 0.0000 0.5000 0.9314 (multiplicity 2)
O 0.5000 0.5000 0.2074 (multiplicity 2)

=====

[2]
# Cs3MnF7

An optimized crystal structure of Cs3MnF7 (GGA+U, the Materials Project).

Unit cell a=8.5708 b=8.5708 c=6.3284 alpha=90.00 beta=90.00 gamma=90.00
Space group P4/mbm (No. 127)
Unique sites:
Cs 0.0000 0.0000 0.0000 (multiplicity 2)
Cs 0.1930 0.3070 0.5000 (multiplicity 4)
Mn 0.0000 0.5000 0.0000 (multiplicity 2)
F 0.0000 0.0000 0.5000 (multiplicity 2)
F 0.1071 0.6071 0.2087 (multiplicity 8)
F 0.1526 0.3474 0.0000 (multiplicity 4)

=====

[3]
# Ba6Na2Cr2Ru2O17

An optimized crystal structure of Ba6Na2Cr2Ru2O17 (GGA+U, the Materials Project).

Results
magnetization: 8.00 μB/f.u.

Unit cell a=5.9246 b=5.9246 c=30.1906 alpha=90.00 beta=90.00 gamma=120.00
Space group P6_3/mmc (No. 194)
Unique sites:
Ba 0.0000 0.0000 0.0000 (multiplicity 2)
Ba 0.0000 0.0000 0.2500 (multiplicity 2)
Ba 0.3333 0.6667 0.0921 (multiplicity 4)
Ba 0.3333 0.6667 0.6804 (multiplicity 4)
Na 0.0000 0.0000 0.1241 (multiplicity 4)
Cr 0.3333 0.6667 0.5520 (multiplicity 4)
Ru 0.3333 0.6667 0.2038 (multiplicity 4)
O 0.0276 0.5138 0.2500 (multiplicity 6)
O 0.1754 0.3508 0.5728 (multiplicity 12)
O 0.1767 0.3534 0.1702 (multiplicity 12)
O 0.3333 0.6667 0.0046 (multiplicity 4)

=====

[4]
# BaMnCO3F2

An optimized crystal structure of BaMnCO3F2 (GGA+U, the Materials Project).

Results
magnetization: 0.00 μB/f.u.

Unit cell a=4.9784 b=4.9784 c=10.1502 alpha=90.00 beta=90.00 gamma=120.00
Space group P6_3/m (No. 176)
Unique sites:
Ba 0.0000 0.0000 0.0000 (multiplicity 2)
Mn 0.3333 0.6667 0.2500 (multiplicity 2)
C 0.3333 0.6667 0.7500 (multiplicity 2)
O 0.1268 0.3741 0.7500 (multiplicity 6)
F 0.3333 0.6667 0.0451 (multiplicity 4)

=====

[5]
# Mn2AsHO5

An optimized crystal structure of Mn2AsHO5 (GGA+U, the Materials Project).

Results
ΔE to the lowest computed polymorph: 0 meV/atom

Unit cell a=8.7376 b=8.8771 c=6.3993 alpha=90.00 beta=90.00 gamma=90.00
Space group Pnnm (No. 58)
Unique sites:
Mn 0.0000 0.0000 0.2463 (multiplicity 4)
Mn 0.1402 0.3679 0.0000 (multiplicity 4)
As 0.2437 0.7432 0.0000 (multiplicity 4)
H 0.2141 0.0915 0.0000 (multiplicity 4)
O 0.0861 0.1429 0.5000 (multiplicity 4)
O 0.1028 0.6072 0.0000 (multiplicity 4)
O 0.1099 0.1302 0.0000 (multiplicity 4)
O 0.2235 0.8574 0.2175 (multiplicity 8)

=====

[6]
# Li3FePCO7

An optimized crystal structure of Li3FePCO7 (GGA+U, the Materials Project).

Results
ΔE to the lowest computed polymorph: 23 meV/atom
magnetization: 4.00 μB/f.u.

Unit cell a=9.5388 b=6.4477 c=9.7204 alpha=90.00 beta=115.49 gamma=90.00
Space group P2_1/c (No. 14)
Unique sites:
Li 0.1077 0.2493 0.1946 (multiplicity 4)
Li 0.2875 0.0113 0.5108 (multiplicity 4)
Li 0.3595 0.7455 0.8204 (multiplicity 4)
Fe 0.2650 0.5029 0.5136 (multiplicity 4)
P 0.4071 0.2486 0.3141 (multiplicity 4)
C 0.0430 0.7426 0.6217 (multiplicity 4)
O 0.0683 0.7404 0.2615 (multiplicity 4)
O 0.1006 0.2384 0.9870 (multiplicity 4)
O 0.1574 0.7344 0.5823 (multiplicity 4)
O 0.3075 0.0598 0.3149 (multiplicity 4)
O 0.3136 0.0586 0.8273 (multiplicity 4)
O 0.4169 0.2460 0.6576 (multiplicity 4)
O 0.4264 0.7445 0.0557 (multiplicity 4)

=====

[7]
# CsMoO2F3

An optimized crystal structure of CsMoO2F3 (GGA+U, the Materials Project).

Unit cell a=5.6508 b=6.8128 c=14.7649 alpha=90.00 beta=90.00 gamma=90.00
Space group Imma (No. 74)
Unique sites:
Cs 0.0000 0.2500 0.1274 (multiplicity 4)
Mo 0.0000 0.2500 0.6377 (multiplicity 4)
O 0.2375 0.2500 0.5637 (multiplicity 8)
F 0.0000 0.0304 0.3343 (multiplicity 8)
F 0.2500 0.2500 0.7500 (multiplicity 4)

=====

[8]
# Co6Te5O16

An optimized crystal structure of Co6Te5O16 (GGA+U, the Materials Project).

Results
magnetization: 6.00 μB/f.u.

Unit cell a=11.2426 b=10.4225 c=13.0307 alpha=90.00 beta=90.00 gamma=90.00
Space group Pnma (No. 62)
Unique sites:
Co 0.0148 0.0728 0.1070 (multiplicity 8)
Co 0.2472 0.5667 0.0063 (multiplicity 8)
Co 0.2495 0.0903 0.7701 (multiplicity 8)
Te 0.0100 0.5379 0.6347 (multiplicity 8)
Te 0.0344 0.7500 0.1385 (multiplicity 4)
Te 0.1997 0.7500 0.8161 (multiplicity 4)
Te 0.2217 0.7500 0.5065 (multiplicity 4)
O 0.0287 0.7500 0.8337 (multiplicity 4)
O 0.0611 0.6115 0.0419 (multiplicity 8)
O 0.0745 0.5182 0.2441 (multiplicity 8)
O 0.1017 0.5460 0.4541 (multiplicity 8)
O 0.1382 0.0806 0.6414 (multiplicity 8)
O 0.1756 0.5561 0.8499 (multiplicity 8)
O 0.1852 0.1106 0.0566 (multiplicity 8)
O 0.1920 0.7500 0.1862 (multiplicity 4)
O 0.2193 0.2500 0.8681 (multiplicity 4)
O 0.2200 0.2500 0.4471 (multiplicity 4)

=====

[9]
# LiFe6O4F8

An optimized crystal structure of LiFe6O4F8 (GGA+U, the Materials Project).

Results
ΔE to the lowest computed polymorph: 155 meV/atom
magnetization: 7.13 μB/f.u.

Unit cell a=5.7444 b=5.8338 c=7.6780 alpha=70.77 beta=70.42 gamma=71.43
Space group P1 (No. 1)
Unique sites:
Li 0.0000 0.0000 0.0000 (multiplicity 1)
Fe 0.0100 0.3736 0.8066 (multiplicity 1)
Fe 0.3260 0.6483 0.0064 (multiplicity 1)
Fe 0.3403 0.6744 0.4905 (multiplicity 1)
Fe 0.6014 0.0175 0.1822 (multiplicity 1)
Fe 0.6205 0.0599 0.6594 (multiplicity 1)
Fe 0.9759 0.3684 0.3188 (multiplicity 1)
O 0.2989 0.0406 0.8339 (multiplicity 1)
O 0.3200 0.3196 0.1602 (multiplicity 1)
O 0.6359 0.3798 0.4865 (multiplicity 1)
O 0.9517 0.7082 0.1563 (multiplicity 1)
F 0.0154 0.9989 0.4904 (multiplicity 1)
F 0.1004 0.4612 0.5160 (multiplicity 1)
F 0.2444 0.5965 0.7850 (multiplicity 1)
F 0.4093 0.7620 0.1973 (multiplicity 1)
F 0.5562 0.9095 0.4766 (multiplicity 1)
F 0.6910 0.6618 0.8277 (multiplicity 1)
F 0.7579 0.1228 0.8540 (multiplicity 1)
F 0.8644 0.2550 0.1197 (multiplicity 1)

=====

[10]
# Sr2Co2O5

An optimized crystal structure of Sr2Co2O5 (GGA+U, the Materials Project).

Results
ΔE to the lowest computed polymorph: 0 meV/atom
magnetization: 7.00 μB/f.u.

Unit cell a=5.4302 b=5.5598 c=8.9435 alpha=107.50 beta=107.21 gamma=91.47
Space group P1 (No. 1)
Unique sites:
Sr 0.0000 0.0000 0.0000 (multiplicity 1)
Sr 0.2226 0.2469 0.4452 (multiplicity 1)
Sr 0.4993 0.5232 0.0001 (multiplicity 1)
Sr 0.7247 0.7241 0.4458 (multiplicity 1)
Co 0.1095 0.6241 0.2237 (multiplicity 1)
Co 0.3962 0.9380 0.7245 (multiplicity 1)
Co 0.6086 0.1233 0.2226 (multiplicity 1)
Co 0.8964 0.3075 0.7207 (multiplicity 1)
O 0.2389 0.7304 0.5129 (multiplicity 1)
O 0.2503 0.2522 0.7225 (multiplicity 1)
O 0.3472 0.3804 0.2126 (multiplicity 1)
O 0.3719 0.8845 0.2315 (multiplicity 1)
O 0.4577 0.9523 0.9424 (multiplicity 1)
O 0.7394 0.2967 0.5043 (multiplicity 1)
O 0.7505 0.9885 0.7228 (multiplicity 1)
O 0.8485 0.3593 0.2143 (multiplicity 1)
O 0.8740 0.8704 0.2328 (multiplicity 1)
O 0.9507 0.5161 0.9312 (multiplicity 1)

=====

Record-wise total DFT energy (no corrections) values, in eV/atom: -6.350, -4.745, -6.559, -7.086, -6.805, -6.661, -5.658, -5.754, -5.633, -6.103